Mg3Sb | PBE | optimized geometry

abc: 3.337 3.337 10.074
angles: 90.00 90.00 120.00
Positions (direct):
Mg (0.000, 0.000, 0.000)
Mg (0.667, 0.333, 0.245)
Mg (0.667, 0.333, 0.755)
Sb (0.000, 0.000, 0.500)

Space-group type: No. 187
Energy of formation from the pure elements in eV per atom: -0.033
Volume in A^3/atom: 24.29

Na2CaTi3Si2S4O24 | PBE | optimized geometry

abc: 8.824 8.828 22.586
angles: 89.52 89.32 60.07
Positions (direct):
Na (0.000, 0.000, 0.000)
Na (0.004, 0.969, 0.508)
Na (0.344, 0.323, 0.669)
Na (0.351, 0.338, 0.168)
Na (0.666, 0.658, 0.339)
Na (0.674, 0.630, 0.828)
Ca (0.658, 0.654, 0.185)
Ca (0.988, 0.009, 0.857)
Ca (0.993, 0.989, 0.366)
Ti (0.310, 0.345, 0.321)
Ti (0.321, 0.345, 0.532)
Ti (0.326, 0.327, 0.812)
Ti (0.328, 0.325, 0.021)
Ti (0.641, 0.665, 0.684)
Ti (0.659, 0.682, 0.485)
Ti (0.679, 0.635, 0.981)
Ti (0.972, 0.998, 0.648)
Ti (0.983, 0.011, 0.149)
Si (0.027, 0.610, 0.428)
Si (0.044, 0.332, 0.920)
Si (0.360, 0.681, 0.584)
Si (0.653, 0.363, 0.087)
Si (0.654, 0.957, 0.586)
Si (0.700, 0.297, 0.755)
S (0.015, 0.278, 0.254)
S (0.282, 0.692, 0.254)
S (0.297, 0.995, 0.752)
S (0.346, 0.042, 0.423)
S (0.347, 0.604, 0.921)
S (0.356, 0.962, 0.085)
S (0.594, 0.351, 0.422)
S (0.603, 0.030, 0.921)
S (0.694, 0.010, 0.252)
S (0.945, 0.374, 0.587)
S (0.965, 0.667, 0.084)
S (0.994, 0.696, 0.751)
O (0.012, 0.796, 0.431)
O (0.019, 0.786, 0.698)
O (0.023, 0.173, 0.199)
O (0.024, 0.164, 0.927)
O (0.126, 0.346, 0.584)
O (0.135, 0.497, 0.364)
O (0.143, 0.350, 0.860)
O (0.149, 0.521, 0.074)
O (0.150, 0.485, 0.481)
O (0.153, 0.349, 0.975)
O (0.162, 0.521, 0.754)
O (0.171, 0.853, 0.596)
O (0.183, 0.780, 0.200)
O (0.183, 0.967, 0.092)
O (0.187, 0.020, 0.700)
O (0.187, 0.774, 0.922)
O (0.188, 0.276, 0.255)
O (0.189, 0.027, 0.424)
O (0.193, 0.785, 0.308)
O (0.234, 0.963, 0.808)
O (0.294, 0.513, 0.256)
O (0.311, 0.148, 0.074)
O (0.313, 0.159, 0.756)
O (0.335, 0.508, 0.578)
O (0.351, 0.134, 0.476)
O (0.354, 0.131, 0.366)
O (0.355, 0.504, 0.975)
O (0.364, 0.505, 0.866)
O (0.447, 0.848, 0.034)
O (0.453, 0.906, 0.140)
O (0.459, 0.665, 0.254)
O (0.467, 0.697, 0.526)
O (0.480, 0.847, 0.743)
O (0.483, 0.150, 0.580)
O (0.485, 0.641, 0.641)
O (0.494, 0.348, 0.367)
O (0.505, 0.310, 0.762)
O (0.505, 0.628, 0.923)
O (0.508, 0.308, 0.070)
O (0.508, 0.337, 0.477)
O (0.508, 0.864, 0.420)
O (0.509, 0.123, 0.866)
O (0.509, 0.136, 0.974)
O (0.526, 0.178, 0.251)
O (0.593, 0.517, 0.419)
O (0.600, 0.469, 0.146)
O (0.603, 0.862, 0.925)
O (0.640, 0.848, 0.641)
O (0.664, 0.493, 0.737)
O (0.668, 0.861, 0.246)
O (0.694, 0.468, 0.031)
O (0.694, 0.835, 0.526)
O (0.770, 0.200, 0.420)
O (0.781, 0.001, 0.922)
O (0.788, 0.996, 0.306)
O (0.802, 0.014, 0.198)
O (0.803, 0.244, 0.815)
O (0.808, 0.157, 0.699)
O (0.828, 0.979, 0.595)
O (0.841, 0.609, 0.427)
O (0.842, 0.173, 0.097)
O (0.844, 0.457, 0.532)
O (0.847, 0.665, 0.742)
O (0.848, 0.518, 0.927)
O (0.850, 0.691, 0.032)
O (0.862, 0.482, 0.640)
O (0.872, 0.459, 0.248)
O (0.902, 0.632, 0.139)
O (0.960, 0.199, 0.592)
O (0.968, 0.793, 0.805)
O (0.976, 0.831, 0.088)
O (0.995, 0.197, 0.307)

Space-group type: No. 1
Energy of formation from the pure elements in eV per atom: -2.635
Volume in A^3/atom: 14.12

NdAs2 | PBE | optimized geometry

abc: 4.144 6.912 10.617
angles: 90.00 106.80 90.00
Positions (direct):
Nd (0.090, 0.187, 0.360)
Nd (0.090, 0.313, 0.860)
Nd (0.910, 0.687, 0.140)
Nd (0.910, 0.813, 0.640)
As (0.271, 0.623, 0.450)
As (0.271, 0.877, 0.950)
As (0.462, 0.144, 0.671)
As (0.462, 0.356, 0.171)
As (0.538, 0.644, 0.829)
As (0.538, 0.856, 0.329)
As (0.729, 0.123, 0.050)
As (0.729, 0.377, 0.550)

Space-group type: No. 14
Energy of formation from the pure elements in eV per atom: -0.989
Volume in A^3/atom: 24.26

Na2RuAuF6 | PBE | optimized geometry

abc: 6.221 6.221 6.221
angles: 60.00 60.00 60.00
Positions (direct):
Na (0.250, 0.250, 0.250)
Na (0.750, 0.750, 0.750)
Ru (0.000, 0.000, 0.000)
Au (0.500, 0.500, 0.500)
F (0.230, 0.230, 0.770)
F (0.230, 0.770, 0.230)
F (0.230, 0.770, 0.770)
F (0.770, 0.230, 0.230)
F (0.770, 0.230, 0.770)
F (0.770, 0.770, 0.230)

Space-group type: No. 225
Energy of formation from the pure elements in eV per atom: -1.860
Volume in A^3/atom: 17.03

CaRhO3 | PBE | optimized geometry

abc: 8.966 3.173 12.656
angles: 90.00 104.37 90.00
Positions (direct):
Ca (0.008, 0.250, 0.350)
Ca (0.333, 0.250, 0.053)
Ca (0.383, 0.250, 0.330)
Ca (0.617, 0.750, 0.670)
Ca (0.667, 0.750, 0.947)
Ca (0.992, 0.750, 0.650)
Rh (0.000, 0.250, 0.892)
Rh (0.000, 0.750, 0.108)
Rh (0.272, 0.750, 0.544)
Rh (0.355, 0.250, 0.806)
Rh (0.645, 0.750, 0.194)
Rh (0.728, 0.250, 0.456)
O (0.117, 0.750, 0.986)
O (0.123, 0.250, 0.783)
O (0.124, 0.250, 0.180)
O (0.128, 0.250, 0.547)
O (0.214, 0.750, 0.381)
O (0.328, 0.750, 0.706)
O (0.391, 0.750, 0.914)
O (0.416, 0.250, 0.552)
O (0.418, 0.750, 0.190)
O (0.582, 0.250, 0.810)
O (0.584, 0.750, 0.448)
O (0.609, 0.250, 0.086)
O (0.672, 0.250, 0.294)
O (0.786, 0.250, 0.619)
O (0.872, 0.750, 0.453)
O (0.876, 0.750, 0.820)
O (0.877, 0.750, 0.217)
O (0.883, 0.250, 0.014)

Space-group type: No. 11
Energy of formation from the pure elements in eV per atom: -2.093
Volume in A^3/atom: 11.63

BaGa2 | PBE | optimized geometry

abc: 4.473 4.473 5.113
angles: 90.00 90.00 120.00
Positions (direct):
Ba (0.000, 0.000, 0.000)
Ga (0.333, 0.667, 0.491)
Ga (0.667, 0.333, 0.491)

Space-group type: No. 183
Energy of formation from the pure elements in eV per atom: -0.462
Volume in A^3/atom: 29.54

Al2P2H6NO11 | PBE | optimized geometry

abc: 9.603 9.701 9.955
angles: 90.00 90.00 90.00
Positions (direct):
Al (0.102, 0.243, 0.137)
Al (0.147, 0.012, 0.682)
Al (0.353, 0.988, 0.182)
Al (0.398, 0.757, 0.637)
Al (0.602, 0.257, 0.863)
Al (0.647, 0.488, 0.318)
Al (0.853, 0.512, 0.818)
Al (0.898, 0.743, 0.363)
P (0.076, 0.700, 0.643)
P (0.083, 0.021, 0.362)
P (0.417, 0.979, 0.862)
P (0.424, 0.300, 0.143)
P (0.576, 0.800, 0.357)
P (0.583, 0.479, 0.638)
P (0.917, 0.521, 0.138)
P (0.924, 0.200, 0.857)
H (0.016, 0.450, 0.476)
H (0.027, 0.836, 0.902)
H (0.030, 0.280, 0.438)
H (0.124, 0.848, 0.045)
H (0.170, 0.259, 0.597)
H (0.212, 0.069, 0.993)
H (0.288, 0.931, 0.493)
H (0.330, 0.741, 0.097)
H (0.376, 0.152, 0.545)
H (0.470, 0.720, 0.938)
H (0.473, 0.164, 0.402)
H (0.484, 0.550, 0.976)
H (0.516, 0.050, 0.524)
H (0.527, 0.664, 0.098)
H (0.530, 0.220, 0.562)
H (0.624, 0.652, 0.955)
H (0.670, 0.241, 0.403)
H (0.712, 0.431, 0.007)
H (0.788, 0.569, 0.507)
H (0.830, 0.759, 0.903)
H (0.876, 0.348, 0.455)
H (0.970, 0.780, 0.062)
H (0.973, 0.336, 0.598)
H (0.984, 0.950, 0.024)
N (0.022, 0.854, 0.005)
N (0.478, 0.146, 0.505)
N (0.522, 0.646, 0.995)
N (0.978, 0.354, 0.495)
O (0.001, 0.088, 0.779)
O (0.013, 0.407, 0.191)
O (0.019, 0.711, 0.499)
O (0.050, 0.162, 0.294)
O (0.056, 0.041, 0.514)
O (0.060, 0.839, 0.720)
O (0.205, 0.083, 0.091)
O (0.207, 0.407, 0.757)
O (0.230, 0.185, 0.630)
O (0.233, 0.659, 0.637)
O (0.239, 0.987, 0.339)
O (0.261, 0.013, 0.839)
O (0.267, 0.341, 0.137)
O (0.270, 0.815, 0.130)
O (0.293, 0.593, 0.257)
O (0.295, 0.917, 0.591)
O (0.440, 0.161, 0.220)
O (0.444, 0.959, 0.014)
O (0.450, 0.838, 0.794)
O (0.481, 0.289, 0.999)
O (0.487, 0.593, 0.691)
O (0.499, 0.912, 0.279)
O (0.501, 0.412, 0.221)
O (0.513, 0.093, 0.809)
O (0.519, 0.789, 0.501)
O (0.550, 0.338, 0.706)
O (0.556, 0.459, 0.486)
O (0.560, 0.661, 0.280)
O (0.705, 0.417, 0.909)
O (0.707, 0.093, 0.243)
O (0.730, 0.315, 0.370)
O (0.733, 0.841, 0.363)
O (0.739, 0.513, 0.661)
O (0.761, 0.487, 0.161)
O (0.767, 0.159, 0.863)
O (0.770, 0.685, 0.870)
O (0.793, 0.907, 0.743)
O (0.795, 0.583, 0.409)
O (0.940, 0.339, 0.780)
O (0.944, 0.541, 0.986)
O (0.950, 0.662, 0.206)
O (0.981, 0.211, 0.001)
O (0.987, 0.907, 0.309)
O (0.999, 0.588, 0.721)

Space-group type: No. 19
Energy of formation from the pure elements in eV per atom: -1.879
Volume in A^3/atom: 10.54

Mg14BSbO16 | PBE | optimized geometry

abc: 4.329 8.664 8.714
angles: 90.00 90.00 90.00
Positions (direct):
Mg (0.000, 0.000, 0.000)
Mg (0.000, 0.238, 0.247)
Mg (0.000, 0.238, 0.753)
Mg (0.000, 0.500, 0.000)
Mg (0.000, 0.762, 0.247)
Mg (0.000, 0.762, 0.753)
Mg (0.500, 0.000, 0.252)
Mg (0.500, 0.000, 0.748)
Mg (0.500, 0.231, 0.500)
Mg (0.500, 0.246, 0.000)
Mg (0.500, 0.500, 0.238)
Mg (0.500, 0.500, 0.762)
Mg (0.500, 0.754, 0.000)
Mg (0.500, 0.769, 0.500)
B (0.000, 0.000, 0.500)
Sb (0.000, 0.500, 0.500)
O (0.000, 0.000, 0.231)
O (0.000, 0.000, 0.769)
O (0.000, 0.238, 0.500)
O (0.000, 0.252, 0.000)
O (0.000, 0.500, 0.236)
O (0.000, 0.500, 0.764)
O (0.000, 0.748, 0.000)
O (0.000, 0.762, 0.500)
O (0.500, 0.000, 0.000)
O (0.500, 0.000, 0.500)
O (0.500, 0.251, 0.251)
O (0.500, 0.251, 0.749)
O (0.500, 0.500, 0.000)
O (0.500, 0.500, 0.500)
O (0.500, 0.749, 0.251)
O (0.500, 0.749, 0.749)

Space-group type: No. 47
Energy of formation from the pure elements in eV per atom: -2.613
Volume in A^3/atom: 10.21